The following is a DFT calculation (GGA+U) of a relaxed Fe6O7F5 crystal.

a = 4.803 Å, b = 5.678 Å, c = 7.752 Å
α = 84.12°, β = 86.22°, γ = 84.81°
Fractional coordinates of all 18 atoms:
Fe 0.000 0.000 0.000
Fe 0.002 0.325 0.679
Fe 0.016 0.673 0.348
Fe 0.509 0.502 0.009
Fe 0.511 0.170 0.344
Fe 0.550 0.861 0.691
O 0.315 0.468 0.245
O 0.319 0.137 0.573
O 0.321 0.802 0.913
O 0.706 0.204 0.115
O 0.712 0.877 0.443
O 0.713 0.543 0.781
O 0.828 0.049 0.782
F 0.191 0.621 0.574
F 0.200 0.964 0.237
F 0.208 0.301 0.910
F 0.816 0.379 0.445
F 0.823 0.704 0.116

Calculated values
Density: 4.305 g/cm³
Energy of formation: -1.8970 eV/atom
Energy above the most stable polymorph in this dataset: 17.8 meV per atom
Uncorrected energy: -6.029 eV/atom

---

The following is a DFT calculation (GGA+U) of a relaxed Fe6OF11 crystal.

a = 5.820 Å, b = 5.820 Å, c = 7.602 Å
α = 107.19°, β = 107.19°, γ = 71.63°
Fractional coordinates of all 18 atoms:
Fe 0.000 0.000 0.000
Fe 0.305 0.356 0.331
Fe 0.319 0.379 0.847
Fe 0.621 0.681 0.153
Fe 0.644 0.695 0.669
Fe 0.977 0.023 0.500
O 0.288 0.712 0.000
F 0.073 0.126 0.305
F 0.217 0.258 0.031
F 0.348 0.005 0.675
F 0.415 0.451 0.633
F 0.549 0.585 0.367
F 0.603 0.044 0.326
F 0.693 0.307 0.000
F 0.742 0.783 0.969
F 0.874 0.927 0.695
F 0.956 0.397 0.674
F 0.995 0.652 0.325

Calculated values
Density: 4.086 g/cm³
Energy of formation: -2.4579 eV/atom
Energy above the most stable polymorph in this dataset: 24.5 meV per atom
Uncorrected energy: -5.654 eV/atom

---

The following is a DFT calculation (GGA+U) of a relaxed Fe7O3F9 crystal.

a = 5.495 Å, b = 5.705 Å, c = 9.130 Å
α = 75.42°, β = 89.51°, γ = 62.14°
Fractional coordinates of all 19 atoms:
Fe 0.000 0.000 0.000
Fe 0.012 0.239 0.360
Fe 0.170 0.243 0.743
Fe 0.278 0.465 0.103
Fe 0.454 0.480 0.509
Fe 0.541 0.730 0.858
Fe 0.710 0.014 0.589
O 0.240 0.120 0.939
O 0.309 0.206 0.553
O 0.736 0.379 0.699
F 0.139 0.829 0.626
F 0.210 0.449 0.306
F 0.242 0.879 0.205
F 0.292 0.569 0.897
F 0.703 0.967 0.790
F 0.712 0.636 0.475
F 0.722 0.305 0.155
F 0.770 0.075 0.404
F 0.858 0.732 0.031

Calculated values
Density: 4.169 g/cm³
Energy of formation: -1.5837 eV/atom
Energy above the most stable polymorph in this dataset: 619.5 meV per atom
Uncorrected energy: -5.234 eV/atom

---

The following is a DFT calculation (GGA+U) of a relaxed Fe4OF7 crystal.

a = 7.549 Å, b = 7.549 Å, c = 5.799 Å
α = 106.79°, β = 106.79°, γ = 79.27°
Fractional coordinates of all 24 atoms:
Fe 0.121 0.382 0.518
Fe 0.125 0.875 0.500
Fe 0.352 0.622 0.989
Fe 0.382 0.121 0.018
Fe 0.622 0.352 0.489
Fe 0.625 0.879 0.486
Fe 0.875 0.125 0.000
Fe 0.879 0.625 0.986
O 0.114 0.558 0.864
O 0.558 0.114 0.364
F 0.040 0.602 0.344
F 0.147 0.206 0.159
F 0.206 0.147 0.659
F 0.305 0.847 0.850
F 0.346 0.789 0.333
F 0.407 0.463 0.657
F 0.463 0.407 0.157
F 0.602 0.040 0.844
F 0.633 0.693 0.138
F 0.693 0.633 0.638
F 0.789 0.346 0.833
F 0.847 0.305 0.350
F 0.904 0.944 0.655
F 0.944 0.904 0.155

Calculated values
Density: 4.109 g/cm³
Energy of formation: -2.4132 eV/atom
Energy above the most stable polymorph in this dataset: 5.3 meV per atom
Uncorrected energy: -5.687 eV/atom